Record 1
Density functional theory data (PBE) for a relaxed H12PdC2N6Cl4 crystal.

Geometry as POSCAR:
```
H12PdC2N6Cl4
1.0
-4.974 8.729 4.106
-9.523 -3.707 -3.656
-1.597 -5.484 9.722
H Pd C N Cl
48 4 8 24 16
direct
0.600 0.281 0.448
0.900 0.219 0.448
0.781 0.400 0.948
0.719 0.100 0.948
0.400 0.719 0.552
0.100 0.781 0.552
0.219 0.600 0.052
0.281 0.900 0.052
0.598 0.376 0.322
0.902 0.124 0.322
0.876 0.402 0.822
0.624 0.098 0.822
0.402 0.624 0.678
0.098 0.876 0.678
0.124 0.598 0.178
0.376 0.902 0.178
0.304 0.504 0.387
0.196 0.996 0.387
0.004 0.696 0.887
0.496 0.804 0.887
0.696 0.496 0.613
0.804 0.004 0.613
0.996 0.304 0.113
0.504 0.196 0.113
0.423 0.500 0.284
0.077 0.000 0.284
0.000 0.577 0.784
0.500 0.923 0.784
0.577 0.500 0.716
0.923 0.000 0.716
0.000 0.423 0.216
0.500 0.077 0.216
0.310 0.375 0.556
0.190 0.125 0.556
0.875 0.690 0.056
0.625 0.810 0.056
0.690 0.625 0.444
0.810 0.875 0.444
0.125 0.310 0.944
0.375 0.190 0.944
0.440 0.282 0.579
0.060 0.218 0.579
0.782 0.560 0.079
0.718 0.940 0.079
0.560 0.718 0.421
0.940 0.782 0.421
0.218 0.440 0.921
0.282 0.060 0.921
0.500 0.000 0.500
0.000 0.500 0.500
0.500 0.500 0.000
0.000 0.000 0.000
0.443 0.382 0.426
0.057 0.118 0.426
0.882 0.557 0.926
0.618 0.943 0.926
0.557 0.618 0.574
0.943 0.882 0.574
0.118 0.443 0.074
0.382 0.057 0.074
0.555 0.342 0.395
0.945 0.158 0.395
0.842 0.445 0.895
0.658 0.055 0.895
0.445 0.658 0.605
0.055 0.842 0.605
0.158 0.555 0.105
0.342 0.945 0.105
0.382 0.462 0.357
0.118 0.038 0.357
0.962 0.618 0.857
0.538 0.882 0.857
0.618 0.538 0.643
0.882 0.962 0.643
0.038 0.382 0.143
0.462 0.118 0.143
0.391 0.340 0.526
0.109 0.160 0.526
0.840 0.609 0.026
0.660 0.891 0.026
0.609 0.660 0.474
0.891 0.840 0.474
0.160 0.391 0.974
0.340 0.109 0.974
0.647 0.982 0.350
0.853 0.518 0.350
0.482 0.353 0.850
0.018 0.147 0.850
0.353 0.018 0.650
0.147 0.482 0.650
0.518 0.647 0.150
0.982 0.853 0.150
0.372 0.863 0.398
0.128 0.637 0.398
0.363 0.628 0.898
0.137 0.872 0.898
0.628 0.137 0.602
0.872 0.363 0.602
0.637 0.372 0.102
0.863 0.128 0.102
```

Final energy in eV per atom: -5.304
SG: P4_2/n, No. 86
ΔH_f (0 K) in eV per formula unit: -13.29
Calculated density in g cm⁻³: 1.84

Record 2
Density functional theory data (PBE) for a relaxed Mg2B4Ru5 crystal.

Geometry as POSCAR:
```
Mg2B4Ru5
1.0
-0.031 2.557 1.498
-8.159 1.011 -1.894
-2.560 -4.945 8.386
Mg B Ru
4 8 10
direct
0.500 0.649 0.815
0.500 0.351 0.185
0.500 0.149 0.685
0.500 0.851 0.315
0.500 0.852 0.603
0.500 0.148 0.397
0.500 0.352 0.897
0.500 0.648 0.103
0.500 0.960 0.911
0.500 0.040 0.089
0.500 0.460 0.589
0.500 0.540 0.411
0.000 0.396 0.738
0.000 0.604 0.262
0.000 0.896 0.762
0.000 0.104 0.238
0.000 0.000 0.500
0.000 0.500 0.000
0.000 0.656 0.548
0.000 0.344 0.452
0.000 0.156 0.952
0.000 0.844 0.048
```

Final energy in eV per atom: -7.291
SG: Pbam, No. 55
ΔH_f (0 K) in eV per formula unit: -3.91
Calculated density in g cm⁻³: 7.88

Record 3
Density functional theory data (PBE) for a relaxed Na12Ca5NbP9O36 crystal.

Geometry as POSCAR:
```
Na12Ca5NbP9O36
1.0
9.421 0.000 0.000
-4.710 8.159 0.000
0.000 0.000 22.889
Na Ca Nb P O
24 10 2 18 72
direct
0.635 0.000 0.250
0.365 0.365 0.250
0.000 0.635 0.250
0.635 0.635 0.750
0.000 0.365 0.750
0.365 0.000 0.750
0.295 0.337 0.587
0.042 0.705 0.587
0.663 0.958 0.587
0.295 0.958 0.087
0.663 0.705 0.087
0.042 0.337 0.087
0.984 0.679 0.906
0.696 0.016 0.906
0.321 0.304 0.906
0.984 0.304 0.406
0.321 0.016 0.406
0.696 0.679 0.406
0.000 0.000 0.499
0.000 0.000 0.999
0.667 0.333 0.821
0.667 0.333 0.321
0.333 0.667 0.177
0.333 0.667 0.677
0.000 0.000 0.346
0.000 0.000 0.846
0.000 0.000 0.651
0.000 0.000 0.151
0.667 0.333 0.683
0.667 0.333 0.183
0.333 0.667 0.013
0.333 0.667 0.513
0.333 0.667 0.322
0.333 0.667 0.822
0.667 0.333 0.984
0.667 0.333 0.484
0.306 0.996 0.250
0.691 0.694 0.250
0.004 0.309 0.250
0.306 0.309 0.750
0.004 0.694 0.750
0.691 0.996 0.750
0.961 0.332 0.582
0.371 0.039 0.582
0.668 0.629 0.582
0.961 0.629 0.082
0.668 0.039 0.082
0.371 0.332 0.082
0.642 0.659 0.921
0.017 0.358 0.921
0.341 0.983 0.921
0.642 0.983 0.421
0.341 0.358 0.421
0.017 0.659 0.421
0.220 0.009 0.306
0.789 0.780 0.306
0.991 0.211 0.306
0.220 0.211 0.806
0.991 0.780 0.806
0.789 0.009 0.806
0.777 0.982 0.694
0.206 0.223 0.694
0.018 0.794 0.694
0.777 0.794 0.194
0.018 0.223 0.194
0.206 0.982 0.194
0.886 0.349 0.639
0.464 0.114 0.639
0.651 0.536 0.639
0.886 0.536 0.139
0.651 0.114 0.139
0.464 0.349 0.139
0.486 0.330 0.030
0.844 0.514 0.030
0.670 0.156 0.030
0.486 0.156 0.530
0.670 0.514 0.530
0.844 0.330 0.530
0.562 0.685 0.975
0.123 0.438 0.975
0.315 0.877 0.975
0.562 0.877 0.475
0.315 0.438 0.475
0.123 0.685 0.475
0.086 0.619 0.366
0.532 0.914 0.366
0.381 0.468 0.366
0.086 0.468 0.866
0.381 0.914 0.866
0.532 0.619 0.866
0.988 0.805 0.415
0.817 0.012 0.415
0.195 0.183 0.415
0.988 0.183 0.915
0.195 0.012 0.915
0.817 0.805 0.915
0.962 0.170 0.576
0.208 0.038 0.576
0.830 0.792 0.576
0.962 0.792 0.076
0.830 0.038 0.076
0.208 0.170 0.076
0.673 0.152 0.749
0.479 0.327 0.749
0.848 0.521 0.749
0.673 0.521 0.249
0.848 0.327 0.249
0.479 0.152 0.249
0.660 0.499 0.929
0.839 0.340 0.929
0.501 0.161 0.929
0.660 0.161 0.429
0.501 0.340 0.429
0.839 0.499 0.429
0.350 0.483 0.076
0.133 0.650 0.076
0.517 0.867 0.076
0.350 0.867 0.576
0.517 0.650 0.576
0.133 0.483 0.576
0.323 0.841 0.252
0.517 0.677 0.252
0.159 0.483 0.252
0.323 0.483 0.752
0.159 0.677 0.752
0.517 0.841 0.752
```

Final energy in eV per atom: -6.630
SG: P3c1, No. 158
ΔH_f (0 K) in eV per formula unit: -179.60
Calculated density in g cm⁻³: 2.69

Record 4
Density functional theory data (PBE) for a relaxed Na2SrFe crystal.

Geometry as POSCAR:
```
Na2SrFe
1.0
0.000 3.822 3.822
3.822 0.000 3.822
3.822 3.822 0.000
Na Sr Fe
2 1 1
direct
0.250 0.250 0.250
0.750 0.750 0.750
0.500 0.500 0.500
0.000 0.000 0.000
```

Final energy in eV per atom: -2.545
SG: Fm-3m, No. 225
ΔH_f (0 K) in eV per formula unit: 2.62
Calculated density in g cm⁻³: 2.82

Record 5
Density functional theory data (PBE) for a relaxed TmGePd crystal.

Geometry as POSCAR:
```
TmGePd
1.0
-4.857 -1.201 2.566
-2.073 -4.557 2.561
-1.112 -0.933 6.767
Tm Ge Pd
2 2 2
direct
0.543 0.543 0.217
0.457 0.457 0.783
0.840 0.840 0.211
0.160 0.160 0.789
0.178 0.178 0.371
0.822 0.822 0.629
```

Final energy in eV per atom: -5.665
SG: C2/m, No. 12
ΔH_f (0 K) in eV per formula unit: -2.72
Calculated density in g cm⁻³: 9.90

What did the first record say?
Density functional theory data (PBE) for a relaxed H12PdC2N6Cl4 crystal.

Geometry as POSCAR:
```
H12PdC2N6Cl4
1.0
-4.974 8.729 4.106
-9.523 -3.707 -3.656
-1.597 -5.484 9.722
H Pd C N Cl
48 4 8 24 16
direct
0.600 0.281 0.448
0.900 0.219 0.448
0.781 0.400 0.948
0.719 0.100 0.948
0.400 0.719 0.552
0.100 0.781 0.552
0.219 0.600 0.052
0.281 0.900 0.052
0.598 0.376 0.322
0.902 0.124 0.322
0.876 0.402 0.822
0.624 0.098 0.822
0.402 0.624 0.678
0.098 0.876 0.678
0.124 0.598 0.178
0.376 0.902 0.178
0.304 0.504 0.387
0.196 0.996 0.387
0.004 0.696 0.887
0.496 0.804 0.887
0.696 0.496 0.613
0.804 0.004 0.613
0.996 0.304 0.113
0.504 0.196 0.113
0.423 0.500 0.284
0.077 0.000 0.284
0.000 0.577 0.784
0.500 0.923 0.784
0.577 0.500 0.716
0.923 0.000 0.716
0.000 0.423 0.216
0.500 0.077 0.216
0.310 0.375 0.556
0.190 0.125 0.556
0.875 0.690 0.056
0.625 0.810 0.056
0.690 0.625 0.444
0.810 0.875 0.444
0.125 0.310 0.944
0.375 0.190 0.944
0.440 0.282 0.579
0.060 0.218 0.579
0.782 0.560 0.079
0.718 0.940 0.079
0.560 0.718 0.421
0.940 0.782 0.421
0.218 0.440 0.921
0.282 0.060 0.921
0.500 0.000 0.500
0.000 0.500 0.500
0.500 0.500 0.000
0.000 0.000 0.000
0.443 0.382 0.426
0.057 0.118 0.426
0.882 0.557 0.926
0.618 0.943 0.926
0.557 0.618 0.574
0.943 0.882 0.574
0.118 0.443 0.074
0.382 0.057 0.074
0.555 0.342 0.395
0.945 0.158 0.395
0.842 0.445 0.895
0.658 0.055 0.895
0.445 0.658 0.605
0.055 0.842 0.605
0.158 0.555 0.105
0.342 0.945 0.105
0.382 0.462 0.357
0.118 0.038 0.357
0.962 0.618 0.857
0.538 0.882 0.857
0.618 0.538 0.643
0.882 0.962 0.643
0.038 0.382 0.143
0.462 0.118 0.143
0.391 0.340 0.526
0.109 0.160 0.526
0.840 0.609 0.026
0.660 0.891 0.026
0.609 0.660 0.474
0.891 0.840 0.474
0.160 0.391 0.974
0.340 0.109 0.974
0.647 0.982 0.350
0.853 0.518 0.350
0.482 0.353 0.850
0.018 0.147 0.850
0.353 0.018 0.650
0.147 0.482 0.650
0.518 0.647 0.150
0.982 0.853 0.150
0.372 0.863 0.398
0.128 0.637 0.398
0.363 0.628 0.898
0.137 0.872 0.898
0.628 0.137 0.602
0.872 0.363 0.602
0.637 0.372 0.102
0.863 0.128 0.102
```

Final energy in eV per atom: -5.304
SG: P4_2/n, No. 86
ΔH_f (0 K) in eV per formula unit: -13.29
Calculated density in g cm⁻³: 1.84

Copy entry 4 word for word.
Density functional theory data (PBE) for a relaxed Na2SrFe crystal.

Geometry as POSCAR:
```
Na2SrFe
1.0
0.000 3.822 3.822
3.822 0.000 3.822
3.822 3.822 0.000
Na Sr Fe
2 1 1
direct
0.250 0.250 0.250
0.750 0.750 0.750
0.500 0.500 0.500
0.000 0.000 0.000
```

Final energy in eV per atom: -2.545
SG: Fm-3m, No. 225
ΔH_f (0 K) in eV per formula unit: 2.62
Calculated density in g cm⁻³: 2.82

- The lowest final energy belongs to which entry?
  Mg2B4Ru5

Please write out number 5 again, unchanged.
Density functional theory data (PBE) for a relaxed TmGePd crystal.

Geometry as POSCAR:
```
TmGePd
1.0
-4.857 -1.201 2.566
-2.073 -4.557 2.561
-1.112 -0.933 6.767
Tm Ge Pd
2 2 2
direct
0.543 0.543 0.217
0.457 0.457 0.783
0.840 0.840 0.211
0.160 0.160 0.789
0.178 0.178 0.371
0.822 0.822 0.629
```

Final energy in eV per atom: -5.665
SG: C2/m, No. 12
ΔH_f (0 K) in eV per formula unit: -2.72
Calculated density in g cm⁻³: 9.90